Entry from the Materials Project database: a relaxed structure of ZrF4 (PBE-GGA).

POSCAR file:
```
ZrF4
1.0
-3.143 -7.377 -0.620
4.970 -2.601 5.764
-5.357 1.825 5.443
F Zr
32 8
Cartesian
-4.033 -7.043 4.055
0.187 -2.630 9.152
-6.009 -4.743 3.762
-0.126 -8.585 5.177
-0.354 -2.718 4.022
-1.783 0.153 7.218
-0.192 -3.342 6.595
-0.338 -0.613 2.295
0.503 -1.111 6.531
2.682 -7.406 5.123
-4.638 -3.409 5.701
-2.736 -1.818 3.580
-0.794 -6.336 7.007
-3.717 -5.524 1.435
1.121 -6.968 3.439
-3.176 -5.436 6.565
-3.404 0.431 5.410
0.706 -3.011 1.705
-3.192 -7.541 8.292
2.878 -3.147 3.888
-2.164 -3.630 8.211
-3.160 -3.147 1.305
-5.339 -2.405 3.518
-2.439 -2.008 6.140
-0.855 -2.572 0.021
-3.338 -4.812 3.992
-1.051 -6.831 1.256
2.479 -3.411 6.824
1.109 -4.745 4.886
-1.366 -4.524 2.376
-1.091 -6.146 4.446
1.395 -0.929 3.989
-4.891 -5.528 5.310
-1.105 -1.786 7.782
-2.425 -6.368 2.805
-1.329 -2.414 2.108
1.361 -2.626 5.277
-4.220 -1.429 5.046
0.690 -6.725 5.541
-2.201 -5.740 8.479
```

Calculated values
SG   P4_2/m, No. 84
DFT total energy   -274.83 eV per cell
Formation enthalpy at 0 K   -4.00 eV/atom

---

Entry from the Materials Project database: a relaxed structure of NaAlP2O7 (PBE-GGA).

POSCAR file:
```
NaAlP2O7
1.0
-0.672 -7.217 -2.921
6.883 -1.417 1.917
0.520 -3.567 8.694
O P Al Na
28 8 4 4
Cartesian
0.977 -2.792 3.628
1.036 -6.734 1.622
5.823 -6.924 8.201
5.493 -3.060 1.973
5.754 -9.409 4.061
2.857 -4.473 8.197
0.908 -5.277 -0.512
5.713 -3.525 4.508
4.373 -8.173 2.270
-0.083 -4.275 1.856
5.695 -5.467 6.067
3.402 -2.512 3.628
0.401 -3.643 7.181
3.329 -9.689 4.061
3.874 -7.728 -0.507
3.441 -6.664 7.016
2.358 -4.028 5.420
4.328 -7.420 4.686
1.238 -9.141 5.716
3.290 -5.536 0.673
1.097 -6.082 7.366
1.017 -8.676 3.181
2.403 -4.781 3.003
6.814 -7.926 5.833
6.330 -8.557 0.509
4.712 -9.103 6.962
2.019 -3.098 0.727
5.634 -6.119 0.324
2.369 -3.577 3.963
0.278 -7.435 2.742
4.160 -6.221 -0.370
2.571 -5.980 8.059
6.453 -4.766 4.948
6.721 -6.470 9.327
0.010 -5.731 -1.637
4.362 -8.624 3.726
1.578 -4.953 1.205
1.517 -10.196 4.151
5.214 -2.005 3.538
5.153 -7.248 6.485
1.450 -8.166 -0.524
2.011 -6.715 5.132
4.720 -5.486 2.557
5.281 -4.035 8.214
```

Calculated values
SG   P2_1/c, No. 14
DFT total energy   -310.54 eV per cell
Formation enthalpy at 0 K   -2.90 eV/atom

---

Copy entry 1 word for word.
Entry from the Materials Project database: a relaxed structure of ZrF4 (PBE-GGA).

POSCAR file:
```
ZrF4
1.0
-3.143 -7.377 -0.620
4.970 -2.601 5.764
-5.357 1.825 5.443
F Zr
32 8
Cartesian
-4.033 -7.043 4.055
0.187 -2.630 9.152
-6.009 -4.743 3.762
-0.126 -8.585 5.177
-0.354 -2.718 4.022
-1.783 0.153 7.218
-0.192 -3.342 6.595
-0.338 -0.613 2.295
0.503 -1.111 6.531
2.682 -7.406 5.123
-4.638 -3.409 5.701
-2.736 -1.818 3.580
-0.794 -6.336 7.007
-3.717 -5.524 1.435
1.121 -6.968 3.439
-3.176 -5.436 6.565
-3.404 0.431 5.410
0.706 -3.011 1.705
-3.192 -7.541 8.292
2.878 -3.147 3.888
-2.164 -3.630 8.211
-3.160 -3.147 1.305
-5.339 -2.405 3.518
-2.439 -2.008 6.140
-0.855 -2.572 0.021
-3.338 -4.812 3.992
-1.051 -6.831 1.256
2.479 -3.411 6.824
1.109 -4.745 4.886
-1.366 -4.524 2.376
-1.091 -6.146 4.446
1.395 -0.929 3.989
-4.891 -5.528 5.310
-1.105 -1.786 7.782
-2.425 -6.368 2.805
-1.329 -2.414 2.108
1.361 -2.626 5.277
-4.220 -1.429 5.046
0.690 -6.725 5.541
-2.201 -5.740 8.479
```

Calculated values
SG   P4_2/m, No. 84
DFT total energy   -274.83 eV per cell
Formation enthalpy at 0 K   -4.00 eV/atom

---

> The highest formation enthalpy at 0 K belongs to which entry?

NaAlP2O7

---

> What is the formula in the second record?

NaAlP2O7